No. 1
Entry from the Materials Project database: a geometry-optimized Na2V2O5 structure (PBE with a Hubbard U).

Magnetic moment ... 2.00 μB per formula unit
Space-group type ... No. 14
Formation energy ... -221.77 kJ per mole of atoms

Cell: 8.7115 5.4402 12.4444 Å, 90.00 102.41 90.00°
Element x y z (fractional)
Na: 0.1152 0.2320 0.0574
Na: 0.1152 0.2680 0.5574
Na: 0.3527 0.6973 0.5311
Na: 0.3527 0.8027 0.0311
Na: 0.6473 0.1973 0.9689
Na: 0.6473 0.3027 0.4689
Na: 0.8848 0.7320 0.4426
Na: 0.8848 0.7680 0.9426
V: 0.1024 0.6990 0.2261
V: 0.1024 0.8010 0.7261
V: 0.4778 0.6666 0.8264
V: 0.4778 0.8334 0.3264
V: 0.5222 0.1666 0.6736
V: 0.5222 0.3334 0.1736
V: 0.8976 0.1990 0.2739
V: 0.8976 0.3010 0.7739
O: 0.0592 0.1332 0.7264
O: 0.0592 0.3668 0.2264
O: 0.1038 0.7122 0.5914
O: 0.1038 0.7878 0.0914
O: 0.2739 0.7425 0.8392
O: 0.2739 0.7575 0.3392
O: 0.3866 0.2320 0.0606
O: 0.3866 0.2680 0.5606
O: 0.4957 0.1592 0.2980
O: 0.4957 0.3408 0.7980
O: 0.5043 0.6592 0.2020
O: 0.5043 0.8408 0.7020
O: 0.6134 0.7320 0.4394
O: 0.6134 0.7680 0.9394
O: 0.7261 0.2425 0.6608
O: 0.7261 0.2575 0.1608
O: 0.8962 0.2122 0.9086
O: 0.8962 0.2878 0.4086
O: 0.9408 0.6332 0.7736
O: 0.9408 0.8668 0.2736


No. 2
Entry from the Materials Project database: a geometry-optimized Li6V3P8O29 structure (PBE with a Hubbard U).

Magnetic moment ... 3.03 μB per formula unit
Relative energy among the computed polymorphs ... 0.6 kJ/mol of atoms
Space-group type ... No. 9
Formation energy ... -256.28 kJ per mole of atoms

Cell: 9.8126 9.8126 14.0028 Å, 90.09 90.09 59.66°
Element x y z (fractional)
Li: 0.0331 0.9669 0.5000
Li: 0.0810 0.6464 0.9350
Li: 0.0819 0.2175 0.4330
Li: 0.2175 0.0819 0.9330
Li: 0.2186 0.6460 0.4348
Li: 0.3159 0.7471 0.0545
Li: 0.6464 0.0810 0.4350
Li: 0.6460 0.2186 0.9348
Li: 0.7457 0.8825 0.0557
Li: 0.7471 0.3159 0.5545
Li: 0.8825 0.7457 0.5557
Li: 0.9669 0.0331 0.0000
V: 0.4161 0.5463 0.2454
V: 0.4176 0.9784 0.7416
V: 0.5426 0.9824 0.2473
V: 0.5463 0.4161 0.7454
V: 0.9784 0.4176 0.2416
V: 0.9824 0.5426 0.7473
P: 0.0666 0.2070 0.6509
P: 0.0679 0.6680 0.1536
P: 0.2045 0.6674 0.6522
P: 0.2070 0.0666 0.1509
P: 0.2880 0.8954 0.3356
P: 0.2909 0.7570 0.8362
P: 0.3098 0.3184 0.3643
P: 0.3184 0.3098 0.8643
P: 0.6467 0.6505 0.1262
P: 0.6505 0.6467 0.6262
P: 0.6674 0.2045 0.1522
P: 0.6680 0.0679 0.6536
P: 0.7552 0.8944 0.8373
P: 0.7570 0.2909 0.3362
P: 0.8944 0.7552 0.3373
P: 0.8954 0.2880 0.8356
O: 0.0617 0.6405 0.6572
O: 0.0628 0.3654 0.6653
O: 0.0685 0.2338 0.1556
O: 0.0750 0.5097 0.1654
O: 0.1660 0.3088 0.3222
O: 0.1734 0.4660 0.8252
O: 0.1796 0.9885 0.4160
O: 0.1839 0.7771 0.7435
O: 0.1919 0.7557 0.5618
O: 0.1921 0.9673 0.2372
O: 0.2042 0.7548 0.9252
O: 0.2044 0.9828 0.0596
O: 0.2338 0.0685 0.6556
O: 0.2359 0.6466 0.1545
O: 0.3006 0.4727 0.3235
O: 0.3063 0.3216 0.4710
O: 0.3088 0.1660 0.8222
O: 0.3137 0.9003 0.8363
O: 0.3205 0.7232 0.3370
O: 0.3216 0.3063 0.9710
O: 0.3620 0.5125 0.6649
O: 0.3654 0.0628 0.1653
O: 0.4419 0.8994 0.3284
O: 0.4490 0.6011 0.8226
O: 0.4660 0.1734 0.3252
O: 0.4727 0.3006 0.8235
O: 0.4930 0.6585 0.1657
O: 0.5008 0.7924 0.6734
O: 0.5097 0.0750 0.6654
O: 0.5125 0.3620 0.1649
O: 0.6011 0.4490 0.3226
O: 0.6006 0.8949 0.8269
O: 0.6405 0.0617 0.1572
O: 0.6466 0.2359 0.6545
O: 0.6493 0.6522 0.0201
O: 0.6522 0.6493 0.5201
O: 0.6569 0.7940 0.1683
O: 0.6585 0.4930 0.6657
O: 0.7232 0.3205 0.8370
O: 0.7237 0.9005 0.3370
O: 0.7548 0.2042 0.4252
O: 0.7557 0.1919 0.0618
O: 0.7562 0.9805 0.5644
O: 0.7619 0.9807 0.9256
O: 0.7771 0.1839 0.2435
O: 0.7786 0.9799 0.7450
O: 0.7924 0.5008 0.1734
O: 0.7940 0.6569 0.6683
O: 0.8949 0.6006 0.3269
O: 0.8994 0.4419 0.8284
O: 0.9003 0.3137 0.3363
O: 0.9005 0.7237 0.8370
O: 0.9673 0.1921 0.7372
O: 0.9805 0.7562 0.0644
O: 0.9799 0.7786 0.2450
O: 0.9807 0.7619 0.4256
O: 0.9828 0.2044 0.5596
O: 0.9885 0.1796 0.9160